The following is a DFT calculation (PBE) of Zn2H18Cl4O9 after structural relaxation.

Cell and atoms, written as extended XYZ:
```
132
Lattice="-1.092 -4.951 -5.050 -6.843 -7.089 8.430 -15.451 8.721 -5.208" Properties=species:S:1:pos:R:3 pbc="T T T"
H -10.211 2.787 -1.882
H -15.702 -1.693 -0.488
H -4.126 -1.892 -4.725
H -2.412 -0.885 -2.588
H -14.771 -1.139 1.816
H -14.062 -0.019 2.667
H -10.661 -3.158 4.928
H -6.880 -5.370 4.602
H -5.876 -5.430 -3.072
H -4.879 0.024 0.514
H -12.283 -4.753 1.854
H -5.182 -4.056 2.793
H -6.469 -8.847 3.214
H -17.733 4.801 -4.112
H -9.500 -1.412 -2.989
H -9.839 0.495 -1.638
H -14.651 2.172 -4.548
H -16.825 -1.508 0.566
H -12.690 -1.114 -0.959
H -19.529 2.260 -3.784
H -7.768 -8.153 2.666
H -8.604 -2.127 -4.043
H -15.208 5.482 -7.429
H -16.457 1.672 -7.827
H -16.591 -2.124 4.579
H -11.443 1.977 -2.383
H -10.285 -0.998 -5.147
H -12.061 -3.733 -3.150
H -16.206 2.319 -6.413
H -8.488 -0.144 -1.155
H -15.501 -3.656 0.665
H -21.575 -2.582 -0.176
H -16.544 3.728 -3.945
H -6.794 -6.923 4.545
H -20.177 2.711 -0.084
H -19.844 -1.118 -1.832
H -20.266 -1.089 -3.330
H -16.735 1.198 -1.940
H -2.532 -2.190 -1.674
H -18.575 -4.597 0.787
H -11.410 2.916 -6.146
H -14.532 3.642 -5.024
H -12.414 -1.521 2.346
H -17.863 -0.299 -4.891
H -8.260 -2.396 1.468
H -3.767 -2.132 0.330
H -6.887 -7.354 7.977
H -15.810 2.246 -1.186
H -3.968 -3.539 -0.349
H -15.180 -1.547 4.099
H -8.294 2.188 -4.699
H -14.241 -4.655 0.744
H -11.232 -3.525 0.115
H -10.638 -3.374 -3.772
H -14.603 -7.958 1.094
H -8.156 -0.884 1.946
H -12.027 -5.686 0.611
H -9.905 -3.331 -0.754
H -11.605 -0.214 -5.482
H -11.018 -1.906 3.050
H -9.708 1.865 -4.040
H -10.417 -7.325 -0.188
H -18.910 1.873 0.316
H -3.707 -4.805 -3.425
H -4.268 -3.049 3.639
H -7.357 -0.390 -5.863
H -19.540 1.105 -2.686
H -17.827 0.624 -6.195
H -2.383 -5.265 -2.633
H -6.884 -6.235 6.843
H -12.657 0.389 -0.410
H -10.470 -9.868 2.485
Zn -8.552 -10.103 4.356
Zn -14.618 -1.387 -3.763
Zn -18.210 3.441 -1.764
Zn -10.425 -1.013 0.507
Zn -7.229 -5.584 0.113
Zn -9.583 1.037 -6.755
Zn -5.492 0.949 -2.957
Zn -19.431 -0.616 2.951
O -16.914 1.992 -7.019
O -10.793 -0.587 -5.904
O -3.291 -2.860 -0.139
O -18.369 -0.037 -5.696
O -4.269 -3.871 3.106
O -10.172 -9.385 3.289
O -9.154 1.738 -4.848
O -9.432 -0.368 -1.343
O -7.351 -8.474 3.502
O -10.465 1.965 -2.370
O -6.476 -6.138 5.055
O -9.536 -1.907 -3.844
O -10.691 -2.863 -0.386
O -12.336 -4.785 0.874
O -15.664 -1.950 4.864
O -15.179 2.916 -4.922
O -11.455 -1.695 2.193
O -2.047 -1.789 -2.439
O -11.294 2.198 -6.810
O -15.225 -4.594 0.781
O -17.287 4.183 -3.486
O -8.561 -1.478 1.273
O -15.496 4.997 -8.230
O -2.804 -4.533 -3.144
O -8.037 -11.337 2.767
O -19.195 2.791 0.089
O -14.712 -7.249 1.762
O -19.304 2.051 -2.851
O -16.744 2.026 -1.407
O -11.389 -7.223 -0.319
O -4.299 -0.485 1.129
O -14.230 -0.986 2.628
O -10.275 0.910 1.276
O -20.293 -0.558 -2.497
O -12.293 -0.515 -0.293
O -15.905 -1.847 0.457
Cl -8.231 -4.505 -1.648
Cl -5.023 -5.839 -0.514
Cl -11.785 4.495 -4.633
Cl -8.164 -7.641 0.439
Cl -13.030 -4.319 4.237
Cl -6.489 1.005 -0.904
Cl -10.060 -5.901 5.666
Cl -14.881 6.337 -5.250
Cl -13.837 -2.818 -2.129
Cl -16.695 -0.729 -3.040
Cl -7.327 -4.355 2.029
Cl -13.214 0.405 -3.931
Cl -6.055 -0.964 -4.060
Cl -18.904 -0.407 0.740
Cl -13.631 2.450 -0.698
Cl -19.758 -3.769 -0.927
```

ρ = 1.68 g/cm3
Raw total energy = -150.2 eV per formula unit
Calculated formation energy = -1.24 eV per atom
Symmetry = P2_12_12_1, No. 19